No. 1
{
  "formula": "Li9Mn2Co5O16",
  "functional": "PBE+U",
  "state": "optimized geometry",
  "rho_g_cm3": 4.1,
  "dft_energy_ev_per_atom": -5.759,
  "formation_energy_ev_per_atom": -1.768,
  "polymorph_energy_mev_per_atom": 96,
  "cell": [[4.905, -1.444, 0.000], [4.905, 1.444, 0.000], [-3.085, 0.000, 20.506]],
  "species": ["Li", "Li", "Li", "Li", "Li", "Li", "Li", "Li", "Li", "Mn", "Mn", "Co", "Co", "Co", "Co", "Co", "O", "O", "O", "O", "O", "O", "O", "O", "O", "O", "O", "O", "O", "O", "O", "O"],
  "fractional_positions": [[0.000, 0.000, 0.000], [0.247, 0.247, 0.181], [0.249, 0.249, 0.687], [0.250, 0.250, 0.441], [0.264, 0.264, 0.945], [0.736, 0.736, 0.055], [0.750, 0.750, 0.559], [0.751, 0.751, 0.313], [0.753, 0.753, 0.819], [0.001, 0.001, 0.751], [0.999, 0.999, 0.249], [0.000, 0.000, 0.500], [0.488, 0.488, 0.113], [0.500, 0.500, 0.376], [0.500, 0.500, 0.624], [0.512, 0.512, 0.887], [0.106, 0.106, 0.340], [0.106, 0.106, 0.836], [0.114, 0.114, 0.098], [0.114, 0.114, 0.595], [0.375, 0.375, 0.038], [0.383, 0.383, 0.530], [0.386, 0.386, 0.277], [0.387, 0.387, 0.775], [0.613, 0.613, 0.225], [0.614, 0.614, 0.723], [0.617, 0.617, 0.470], [0.625, 0.625, 0.962], [0.886, 0.886, 0.405], [0.886, 0.886, 0.902], [0.894, 0.894, 0.164], [0.894, 0.894, 0.660]]
}



No. 2
{
  "formula": "FeOF",
  "functional": "PBE+U",
  "state": "optimized geometry",
  "rho_g_cm3": 4.3,
  "dft_energy_ev_per_atom": -5.994,
  "formation_energy_ev_per_atom": -2.018,
  "cell": [[4.773, 0.000, 0.000], [0.000, 3.063, 0.000], [-0.369, 0.000, 14.246]],
  "species": ["Fe", "Fe", "Fe", "Fe", "Fe", "Fe", "O", "O", "O", "O", "O", "O", "F", "F", "F", "F", "F", "F"],
  "fractional_positions": [[0.000, 0.000, 0.000], [0.043, 0.000, 0.334], [0.404, 0.500, 0.831], [0.500, 0.500, 0.500], [0.596, 0.500, 0.169], [0.957, 0.000, 0.666], [0.146, 0.500, 0.730], [0.228, 0.500, 0.400], [0.276, 0.000, 0.903], [0.724, 0.000, 0.097], [0.772, 0.500, 0.600], [0.854, 0.500, 0.270], [0.207, 0.500, 0.066], [0.289, 0.000, 0.565], [0.350, 0.000, 0.228], [0.650, 0.000, 0.772], [0.711, 0.000, 0.435], [0.793, 0.500, 0.934]]
}



No. 3
{
  "formula": "TiNiO3",
  "functional": "PBE+U",
  "state": "optimized geometry",
  "rho_g_cm3": 4.9,
  "dft_energy_ev_per_atom": -7.364,
  "formation_energy_ev_per_atom": -2.581,
  "cell": [[5.077, 0.000, 0.000], [-2.532, 4.882, 0.000], [-0.040, -1.818, 25.182]],
  "species": ["Ti", "Ti", "Ti", "Ti", "Ti", "Ti", "Ti", "Ti", "Ti", "Ti", "Ti", "Ti", "Ni", "Ni", "Ni", "Ni", "Ni", "Ni", "Ni", "Ni", "Ni", "Ni", "Ni", "Ni", "O", "O", "O", "O", "O", "O", "O", "O", "O", "O", "O", "O", "O", "O", "O", "O", "O", "O", "O", "O", "O", "O", "O", "O", "O", "O", "O", "O", "O", "O", "O", "O", "O", "O", "O", "O"],
  "fractional_positions": [[0.000, 0.000, 0.000], [0.000, 0.002, 0.502], [0.049, 0.097, 0.119], [0.073, 0.109, 0.625], [0.327, 0.659, 0.834], [0.331, 0.651, 0.589], [0.333, 0.663, 0.333], [0.375, 0.762, 0.452], [0.381, 0.763, 0.952], [0.667, 0.334, 0.167], [0.706, 0.421, 0.783], [0.715, 0.429, 0.286], [0.054, 0.112, 0.868], [0.056, 0.114, 0.369], [0.326, 0.650, 0.085], [0.392, 0.784, 0.202], [0.397, 0.775, 0.706], [0.658, 0.314, 0.419], [0.658, 0.314, 0.918], [0.661, 0.317, 0.670], [0.720, 0.445, 0.535], [0.725, 0.450, 0.035], [0.982, 0.967, 0.755], [0.992, 0.982, 0.252], [0.057, 0.829, 0.072], [0.071, 0.476, 0.153], [0.073, 0.823, 0.572], [0.093, 0.473, 0.649], [0.161, 0.704, 0.772], [0.165, 0.713, 0.272], [0.205, 0.033, 0.683], [0.221, 0.055, 0.182], [0.307, 0.281, 0.802], [0.311, 0.292, 0.302], [0.324, 0.931, 0.884], [0.325, 0.931, 0.385], [0.387, 0.492, 0.905], [0.388, 0.493, 0.405], [0.400, 0.140, 0.486], [0.404, 0.141, 0.986], [0.477, 0.378, 0.601], [0.499, 0.381, 0.106], [0.542, 0.720, 0.518], [0.554, 0.721, 0.016], [0.637, 0.936, 0.629], [0.646, 0.960, 0.136], [0.656, 0.603, 0.721], [0.660, 0.601, 0.218], [0.724, 0.161, 0.238], [0.726, 0.150, 0.738], [0.731, 0.800, 0.821], [0.737, 0.807, 0.320], [0.828, 0.041, 0.440], [0.830, 0.047, 0.939], [0.884, 0.384, 0.849], [0.886, 0.385, 0.349], [0.975, 0.624, 0.469], [0.978, 0.626, 0.969], [0.993, 0.268, 0.051], [0.993, 0.274, 0.548]]
}



Repeat the first record exactly.
{
  "formula": "Li9Mn2Co5O16",
  "functional": "PBE+U",
  "state": "optimized geometry",
  "rho_g_cm3": 4.1,
  "dft_energy_ev_per_atom": -5.759,
  "formation_energy_ev_per_atom": -1.768,
  "polymorph_energy_mev_per_atom": 96,
  "cell": [[4.905, -1.444, 0.000], [4.905, 1.444, 0.000], [-3.085, 0.000, 20.506]],
  "species": ["Li", "Li", "Li", "Li", "Li", "Li", "Li", "Li", "Li", "Mn", "Mn", "Co", "Co", "Co", "Co", "Co", "O", "O", "O", "O", "O", "O", "O", "O", "O", "O", "O", "O", "O", "O", "O", "O"],
  "fractional_positions": [[0.000, 0.000, 0.000], [0.247, 0.247, 0.181], [0.249, 0.249, 0.687], [0.250, 0.250, 0.441], [0.264, 0.264, 0.945], [0.736, 0.736, 0.055], [0.750, 0.750, 0.559], [0.751, 0.751, 0.313], [0.753, 0.753, 0.819], [0.001, 0.001, 0.751], [0.999, 0.999, 0.249], [0.000, 0.000, 0.500], [0.488, 0.488, 0.113], [0.500, 0.500, 0.376], [0.500, 0.500, 0.624], [0.512, 0.512, 0.887], [0.106, 0.106, 0.340], [0.106, 0.106, 0.836], [0.114, 0.114, 0.098], [0.114, 0.114, 0.595], [0.375, 0.375, 0.038], [0.383, 0.383, 0.530], [0.386, 0.386, 0.277], [0.387, 0.387, 0.775], [0.613, 0.613, 0.225], [0.614, 0.614, 0.723], [0.617, 0.617, 0.470], [0.625, 0.625, 0.962], [0.886, 0.886, 0.405], [0.886, 0.886, 0.902], [0.894, 0.894, 0.164], [0.894, 0.894, 0.660]]
}